The following is a PBE calculation of crystalline NaZn2HSe2O7 at its relaxed geometry, from the Materials Project.

The structure in CIF format:
```
data_NaZn2HSe2O7
_space_group_name_H-M_alt 'P n m a'
_space_group_IT_number 62
_cell_length_a 13.571
_cell_length_b 6.177
_cell_length_c 8.472
_cell_angle_alpha 90.00
_cell_angle_beta 90.00
_cell_angle_gamma 90.00
loop_
_space_group_symop_operation_xyz
'x,y,z'
'-x,-y,-z'
'-x+1/2,-y,z+1/2'
'x+1/2,y,-z+1/2'
'x+1/2,-y+1/2,-z+1/2'
'-x+1/2,y+1/2,z+1/2'
'-x,y+1/2,-z'
'x,-y+1/2,z'
loop_
_atom_site_label
_atom_site_type_symbol
_atom_site_fract_x
_atom_site_fract_y
_atom_site_fract_z
Na1 Na 0.250 0.250 0.128
Zn1 Zn 0.000 0.000 0.000
Zn2 Zn 0.113 0.750 0.290
H1 H 0.154 0.750 0.978
Se1 Se 0.026 0.250 0.383
Se2 Se 0.170 0.250 0.774
O1 O 0.018 0.031 0.255
O2 O 0.089 0.750 0.532
O3 O 0.095 0.750 0.042
O4 O 0.110 0.250 0.958
O5 O 0.246 0.542 0.301
```

Summary:
Size of the total moment (μB/cell): 0.001
Corrected total energy (MP2020 scheme) (eV/atom): -5.33
Formation enthalpy at 0 K (eV per atom): -1.569

=====

The following is a PBE calculation of crystalline Na2Si3H2O8 at its relaxed geometry, from the Materials Project.

The structure in CIF format:
```
data_Na2Si3H2O8
_space_group_name_H-M_alt 'P 1 21/c 1'
_space_group_IT_number 14
_cell_length_a 7.401
_cell_length_b 12.871
_cell_length_c 9.225
_cell_angle_alpha 90.00
_cell_angle_beta 118.99
_cell_angle_gamma 90.00
loop_
_space_group_symop_operation_xyz
'x,y,z'
'-x,-y,-z'
'-x,y+1/2,-z+1/2'
'x,-y+1/2,z+1/2'
loop_
_atom_site_label
_atom_site_type_symbol
_atom_site_fract_x
_atom_site_fract_y
_atom_site_fract_z
Na1 Na 0.144 0.168 0.487
Na2 Na 0.297 0.579 0.963
Si1 Si 0.218 0.632 0.562
Si2 Si 0.256 0.101 0.176
Si3 Si 0.355 0.693 0.309
H1 H 0.163 0.006 0.703
H2 H 0.213 0.104 0.819
O1 O 0.027 0.156 0.060
O2 O 0.126 0.082 0.705
O3 O 0.209 0.612 0.172
O4 O 0.260 0.508 0.582
O5 O 0.289 0.684 0.745
O6 O 0.320 0.086 0.366
O7 O 0.350 0.689 0.486
O8 O 0.397 0.185 0.135
```

Summary:
Size of the total moment (μB/cell): 0.005
Corrected total energy (MP2020 scheme) (eV/atom): -7.00
Formation enthalpy at 0 K (eV per atom): -2.649

=====

The following is a PBE calculation of crystalline Na2SiH16O11 at its relaxed geometry, from the Materials Project.

The structure in CIF format:
```
data_Na2SiH16O11
_space_group_name_H-M_alt 'P 1 21/c 1'
_space_group_IT_number 14
_cell_length_a 8.937
_cell_length_b 13.540
_cell_length_c 10.054
_cell_angle_alpha 90.00
_cell_angle_beta 119.40
_cell_angle_gamma 90.00
loop_
_space_group_symop_operation_xyz
'x,y,z'
'-x,-y,-z'
'-x,y+1/2,-z+1/2'
'x,-y+1/2,z+1/2'
loop_
_atom_site_label
_atom_site_type_symbol
_atom_site_fract_x
_atom_site_fract_y
_atom_site_fract_z
Na1 Na 0.152 0.075 0.012
Na2 Na 0.161 0.234 0.743
Si1 Si 0.211 0.579 0.005
H1 H 0.035 0.095 0.482
H2 H 0.049 0.055 0.256
H3 H 0.050 0.742 0.107
H4 H 0.116 0.608 0.381
H5 H 0.132 0.682 0.750
H6 H 0.292 0.111 0.461
H7 H 0.313 0.032 0.807
H8 H 0.326 0.734 0.442
H9 H 0.336 0.577 0.786
H10 H 0.342 0.636 0.357
H11 H 0.358 0.245 0.584
H12 H 0.358 0.594 0.639
H13 H 0.431 0.110 0.930
H14 H 0.451 0.181 0.226
H15 H 0.459 0.530 0.222
H16 H 0.482 0.153 0.497
O1 O 0.007 0.574 0.356
O2 O 0.024 0.702 0.657
O3 O 0.045 0.641 0.998
O4 O 0.152 0.032 0.441
O5 O 0.296 0.642 0.921
O6 O 0.312 0.085 0.874
O7 O 0.339 0.208 0.154
O8 O 0.339 0.659 0.450
O9 O 0.356 0.573 0.196
O10 O 0.360 0.543 0.709
O11 O 0.361 0.172 0.462
```

Summary:
Size of the total moment (μB/cell): 0.000
Corrected total energy (MP2020 scheme) (eV/atom): -5.45
Formation enthalpy at 0 K (eV per atom): -1.554

=====

The following is a PBE calculation of crystalline NaSi2H3O6 at its relaxed geometry, from the Materials Project.

The structure in CIF format:
```
data_NaSi2H3O6
_space_group_name_H-M_alt 'F d d 2'
_space_group_IT_number 43
_space_group_name_Hall 'F 2 -2d'
_cell_length_a 16.326
_cell_length_b 18.299
_cell_length_c 7.210
_cell_angle_alpha 90.00
_cell_angle_beta 90.00
_cell_angle_gamma 90.00
loop_
_atom_site_label
_atom_site_type_symbol
_atom_site_fract_x
_atom_site_fract_y
_atom_site_fract_z
Na1 Na 0.111 0.487 0.000
Si1 Si 0.026 0.342 0.483
Si2 Si 0.102 0.226 0.238
H1 H 0.005 0.120 0.391
H2 H 0.015 0.113 0.610
H3 H 0.086 0.074 0.829
O1 O 0.008 0.085 0.493
O2 O 0.015 0.185 0.186
O3 O 0.041 0.144 0.827
O4 O 0.081 0.413 0.542
O5 O 0.090 0.274 0.429
O6 O 0.119 0.025 0.813
```

Summary:
Size of the total moment (μB/cell): 0.013
Corrected total energy (MP2020 scheme) (eV/atom): -6.72
Formation enthalpy at 0 K (eV per atom): -2.385